[1]
This record from Materials Project describes a relaxed structure of In10Pb6S21. The functional is GGA-PBE.

a = 14.136 Å, b = 14.136 Å, c = 15.940 Å
α = 84.83°, β = 84.83°, γ = 15.92°
Fractional coordinates of all 37 atoms:
S (0.026, 0.026, 0.764)
S (0.579, 0.579, 0.127)
S (0.421, 0.421, 0.873)
S (0.672, 0.672, 0.239)
S (0.849, 0.849, 0.565)
S (0.602, 0.602, 0.904)
S (0.398, 0.398, 0.096)
S (0.328, 0.328, 0.761)
S (0.804, 0.804, 0.976)
S (0.281, 0.281, 0.188)
S (0.000, 0.000, 0.000)
S (0.764, 0.764, 0.402)
S (0.618, 0.618, 0.633)
S (0.535, 0.535, 0.407)
S (0.719, 0.719, 0.812)
S (0.974, 0.974, 0.236)
S (0.196, 0.196, 0.024)
S (0.465, 0.465, 0.593)
S (0.151, 0.151, 0.435)
S (0.382, 0.382, 0.367)
S (0.236, 0.236, 0.598)
In (0.513, 0.513, 0.871)
In (0.900, 0.900, 0.981)
In (0.312, 0.312, 0.485)
In (0.265, 0.265, 0.892)
In (0.785, 0.785, 0.692)
In (0.215, 0.215, 0.308)
In (0.487, 0.487, 0.129)
In (0.735, 0.735, 0.108)
In (0.688, 0.688, 0.515)
In (0.100, 0.100, 0.019)
Pb (0.074, 0.074, 0.294)
Pb (0.863, 0.863, 0.241)
Pb (0.137, 0.137, 0.759)
Pb (0.926, 0.926, 0.706)
Pb (0.950, 0.950, 0.432)
Pb (0.050, 0.050, 0.568)

Output
* corrected total energy (MP2020 scheme): -4.50 eV per atom
* formation energy: -0.8058 eV/atom
* ΔE to the lowest computed polymorph: 1.1 kJ/mol of atoms

[2]
This record from Materials Project describes a relaxed structure of In9Pb4S17. The functional is GGA-PBE.

a = 3.905 Å, b = 15.488 Å, c = 23.026 Å
α = 90.00°, β = 90.00°, γ = 90.00°
Fractional coordinates of all 60 atoms:
S (0.000, 0.398, 0.873)
S (0.500, 0.567, 0.433)
S (0.000, 0.787, 0.460)
S (0.500, 0.104, 0.657)
S (0.000, 0.868, 0.071)
S (0.000, 0.021, 0.790)
S (0.500, 0.067, 0.067)
S (0.000, 0.979, 0.210)
S (0.500, 0.500, 0.000)
S (0.000, 0.287, 0.040)
S (0.500, 0.781, 0.194)
S (0.000, 0.692, 0.318)
S (0.500, 0.396, 0.157)
S (0.500, 0.719, 0.694)
S (0.500, 0.604, 0.843)
S (0.000, 0.713, 0.960)
S (0.500, 0.000, 0.500)
S (0.500, 0.896, 0.343)
S (0.000, 0.808, 0.818)
S (0.000, 0.479, 0.290)
S (0.000, 0.898, 0.627)
S (0.000, 0.213, 0.540)
S (0.500, 0.433, 0.567)
S (0.500, 0.281, 0.306)
S (0.000, 0.308, 0.682)
S (0.000, 0.632, 0.571)
S (0.000, 0.368, 0.429)
S (0.500, 0.219, 0.806)
S (0.000, 0.132, 0.929)
S (0.000, 0.102, 0.373)
S (0.000, 0.602, 0.127)
S (0.000, 0.521, 0.710)
S (0.000, 0.192, 0.182)
S (0.500, 0.933, 0.933)
Pb (0.500, 0.092, 0.281)
Pb (0.500, 0.295, 0.936)
Pb (0.500, 0.408, 0.781)
Pb (0.500, 0.705, 0.064)
Pb (0.500, 0.592, 0.219)
Pb (0.500, 0.795, 0.564)
Pb (0.500, 0.908, 0.719)
Pb (0.500, 0.205, 0.436)
In (0.500, 0.567, 0.636)
In (0.000, 0.000, 0.000)
In (0.500, 0.731, 0.390)
In (0.000, 0.168, 0.739)
In (0.000, 0.332, 0.239)
In (0.000, 0.500, 0.500)
In (0.500, 0.433, 0.364)
In (0.000, 0.051, 0.578)
In (0.000, 0.668, 0.761)
In (0.500, 0.231, 0.110)
In (0.500, 0.269, 0.610)
In (0.000, 0.449, 0.078)
In (0.000, 0.832, 0.261)
In (0.500, 0.769, 0.890)
In (0.000, 0.949, 0.422)
In (0.000, 0.551, 0.922)
In (0.500, 0.933, 0.136)
In (0.500, 0.067, 0.864)

Output
* corrected total energy (MP2020 scheme): -4.47 eV per atom
* formation energy: -0.8070 eV/atom

[3]
This record from Materials Project describes a relaxed structure of In10Pb6S21. The functional is GGA-PBE.

a = 3.906 Å, b = 14.132 Å, c = 15.922 Å
α = 95.32°, β = 90.00°, γ = 97.84°
Fractional coordinates of all 37 atoms:
Pb (0.933, 0.850, 0.296)
Pb (0.864, 0.723, 0.756)
Pb (0.046, 0.101, 0.430)
Pb (0.128, 0.273, 0.241)
Pb (0.069, 0.148, 0.706)
Pb (0.953, 0.902, 0.570)
S (0.193, 0.390, 0.976)
S (0.847, 0.698, 0.434)
S (0.229, 0.473, 0.402)
S (0.399, 0.796, 0.903)
S (0.277, 0.561, 0.812)
S (0.800, 0.607, 0.023)
S (0.470, 0.931, 0.408)
S (0.381, 0.762, 0.632)
S (0.615, 0.239, 0.368)
S (0.005, 0.000, 0.000)
S (0.755, 0.529, 0.598)
S (0.719, 0.438, 0.188)
S (0.679, 0.344, 0.761)
S (0.152, 0.303, 0.564)
S (0.580, 0.157, 0.873)
S (0.326, 0.655, 0.236)
S (0.023, 0.052, 0.236)
S (0.599, 0.203, 0.096)
S (0.427, 0.842, 0.125)
S (0.531, 0.070, 0.592)
S (0.969, 0.948, 0.764)
In (0.787, 0.571, 0.306)
In (0.733, 0.469, 0.893)
In (0.904, 0.799, 0.018)
In (0.311, 0.624, 0.514)
In (0.222, 0.429, 0.692)
In (0.510, 0.026, 0.129)
In (0.098, 0.198, 0.981)
In (0.261, 0.528, 0.106)
In (0.480, 0.973, 0.871)
In (0.688, 0.378, 0.485)

Output
* corrected total energy (MP2020 scheme): -4.51 eV per atom
* formation energy: -0.8172 eV/atom
* ΔE to the lowest computed polymorph: 0.0 kJ/mol of atoms

Which of these has the lowest corrected total energy (MP2020 scheme)? number 3

What is the corrected total energy (MP2020 scheme) in the second record? -4.47 eV per atom

The lowest formation energy belongs to which entry? number 3